No. 1
# Tb2In3Cu, relaxed, DFT PBE-GGA
# Total magnetization ... 0.00 μB per formula unit
# Distance to the lowest polymorph of the same formula ... 0.0 meV/atom
# ΔE_f ... -405 meV per atom
# Symmetry ... P3m1
data_Tb2In3Cu
_chemical_formula_sum 'Tb2 In3 Cu1'
_space_group_name_H-M_alt 'P 1'
_space_group_IT_number 1
_space_group_name_Hall 'P 1'
_cell_length_a 4.720
_cell_length_b 4.720
_cell_length_c 7.505
_cell_angle_alpha 90.00
_cell_angle_beta 90.00
_cell_angle_gamma 120.00
loop_
_atom_site_label
_atom_site_type_symbol
_atom_site_fract_x
_atom_site_fract_y
_atom_site_fract_z
Tb1 Tb 0.000 0.000 0.000
Tb2 Tb 0.000 0.000 0.462
In1 In 0.333 0.667 0.222
In2 In 0.333 0.667 0.789
In3 In 0.667 0.333 0.669
Cu1 Cu 0.667 0.333 0.277

---

No. 2
# CaGa3Co2, relaxed, DFT PBE-GGA
# Total magnetization ... 0.01 μB per formula unit
# ΔE_f ... -379 meV per atom
# Symmetry ... Cmcm
data_CaGa3Co2
_chemical_formula_sum 'Ca2 Ga6 Co4'
_space_group_name_H-M_alt 'P 1'
_space_group_IT_number 1
_space_group_name_Hall 'P 1'
_cell_length_a 6.246
_cell_length_b 6.246
_cell_length_c 5.285
_cell_angle_alpha 90.00
_cell_angle_beta 90.00
_cell_angle_gamma 75.59
loop_
_atom_site_label
_atom_site_type_symbol
_atom_site_fract_x
_atom_site_fract_y
_atom_site_fract_z
Ca1 Ca 0.161 0.839 0.750
Ca2 Ca 0.839 0.161 0.250
Ga1 Ga 0.025 0.586 0.250
Ga2 Ga 0.414 0.975 0.250
Ga3 Ga 0.446 0.554 0.250
Ga4 Ga 0.554 0.446 0.750
Ga5 Ga 0.586 0.025 0.750
Ga6 Ga 0.975 0.414 0.750
Co1 Co 0.299 0.299 0.000
Co2 Co 0.299 0.299 0.500
Co3 Co 0.701 0.701 0.000
Co4 Co 0.701 0.701 0.500

---

No. 3
# Sm4Cr3Fe31, relaxed, DFT PBE-GGA
# Total magnetization ... 59.46 μB per formula unit
# ΔE_f ... 36 meV per atom
# Symmetry ... Cm
data_Sm4Cr3Fe31
_chemical_formula_sum 'Sm4 Cr3 Fe31'
_space_group_name_H-M_alt 'P 1'
_space_group_IT_number 1
_space_group_name_Hall 'P 1'
_cell_length_a 6.394
_cell_length_b 6.394
_cell_length_c 12.832
_cell_angle_alpha 97.51
_cell_angle_beta 97.51
_cell_angle_gamma 82.47
loop_
_atom_site_label
_atom_site_type_symbol
_atom_site_fract_x
_atom_site_fract_y
_atom_site_fract_z
Sm1 Sm 0.000 0.000 0.000
Sm2 Sm 0.002 0.002 0.497
Sm3 Sm 0.312 0.312 0.342
Sm4 Sm 0.316 0.316 0.842
Cr1 Cr 0.569 0.569 0.215
Cr2 Cr 0.745 0.745 0.126
Cr3 Cr 0.749 0.749 0.624
Fe1 Fe 0.155 0.657 0.670
Fe2 Fe 0.157 0.656 0.171
Fe3 Fe 0.315 0.812 0.841
Fe4 Fe 0.316 0.316 0.592
Fe5 Fe 0.317 0.811 0.341
Fe6 Fe 0.318 0.318 0.094
Fe7 Fe 0.359 0.953 0.671
Fe8 Fe 0.361 0.655 0.524
Fe9 Fe 0.362 0.656 0.025
Fe10 Fe 0.362 0.950 0.171
Fe11 Fe 0.501 0.995 0.500
Fe12 Fe 0.502 0.997 0.002
Fe13 Fe 0.565 0.565 0.718
Fe14 Fe 0.655 0.361 0.524
Fe15 Fe 0.655 0.950 0.819
Fe16 Fe 0.656 0.157 0.171
Fe17 Fe 0.656 0.362 0.025
Fe18 Fe 0.656 0.656 0.420
Fe19 Fe 0.657 0.155 0.670
Fe20 Fe 0.657 0.657 0.923
Fe21 Fe 0.657 0.950 0.317
Fe22 Fe 0.811 0.317 0.341
Fe23 Fe 0.812 0.315 0.841
Fe24 Fe 0.950 0.362 0.171
Fe25 Fe 0.950 0.655 0.819
Fe26 Fe 0.950 0.657 0.317
Fe27 Fe 0.953 0.359 0.671
Fe28 Fe 0.995 0.501 0.500
Fe29 Fe 0.995 0.995 0.247
Fe30 Fe 0.996 0.996 0.748
Fe31 Fe 0.997 0.502 0.002

---

No. 4
# Mg4CdAg5, relaxed, DFT PBE-GGA
# ΔE_f ... -219 meV per atom
# Symmetry ... P4/mmm
data_Mg4CdAg5
_chemical_formula_sum 'Mg4 Cd1 Ag5'
_space_group_name_H-M_alt 'P 1'
_space_group_IT_number 1
_space_group_name_Hall 'P 1'
_cell_length_a 3.273
_cell_length_b 3.273
_cell_length_c 17.530
_cell_angle_alpha 90.00
_cell_angle_beta 90.00
_cell_angle_gamma 90.00
loop_
_atom_site_label
_atom_site_type_symbol
_atom_site_fract_x
_atom_site_fract_y
_atom_site_fract_z
Mg1 Mg 0.000 0.000 0.100
Mg2 Mg 0.000 0.000 0.300
Mg3 Mg 0.000 0.000 0.700
Mg4 Mg 0.000 0.000 0.900
Cd1 Cd 0.000 0.000 0.500
Ag1 Ag 0.500 0.500 0.000
Ag2 Ag 0.500 0.500 0.200
Ag3 Ag 0.500 0.500 0.396
Ag4 Ag 0.500 0.500 0.604
Ag5 Ag 0.500 0.500 0.800

---

No. 5
# TbB12, relaxed, DFT PBE-GGA
# ΔE_f ... -248 meV per atom
# Symmetry ... Fm-3m
data_TbB12
_chemical_formula_sum 'Tb1 B12'
_space_group_name_H-M_alt 'P 1'
_space_group_IT_number 1
_space_group_name_Hall 'P 1'
_cell_length_a 5.310
_cell_length_b 5.310
_cell_length_c 5.310
_cell_angle_alpha 60.00
_cell_angle_beta 60.00
_cell_angle_gamma 60.00
loop_
_atom_site_label
_atom_site_type_symbol
_atom_site_fract_x
_atom_site_fract_y
_atom_site_fract_z
Tb1 Tb 0.000 0.000 0.000
B1 B 0.162 0.500 0.500
B2 B 0.162 0.500 0.838
B3 B 0.162 0.838 0.500
B4 B 0.500 0.162 0.500
B5 B 0.500 0.162 0.838
B6 B 0.500 0.500 0.162
B7 B 0.500 0.500 0.838
B8 B 0.500 0.838 0.162
B9 B 0.500 0.838 0.500
B10 B 0.838 0.162 0.500
B11 B 0.838 0.500 0.162
B12 B 0.838 0.500 0.500

---

No. 6
# LiZr2Os, relaxed, DFT PBE-GGA
# ΔE_f ... -317 meV per atom
# Symmetry ... Fm-3m
data_LiZr2Os
_chemical_formula_sum 'Li1 Zr2 Os1'
_space_group_name_H-M_alt 'P 1'
_space_group_IT_number 1
_space_group_name_Hall 'P 1'
_cell_length_a 4.672
_cell_length_b 4.672
_cell_length_c 4.672
_cell_angle_alpha 60.00
_cell_angle_beta 60.00
_cell_angle_gamma 60.00
loop_
_atom_site_label
_atom_site_type_symbol
_atom_site_fract_x
_atom_site_fract_y
_atom_site_fract_z
Li1 Li 0.000 0.000 0.000
Zr1 Zr 0.250 0.250 0.250
Zr2 Zr 0.750 0.750 0.750
Os1 Os 0.500 0.500 0.500

---

- Which value of ΔE_f does entry 1 give?
  -405 meV per atom

---

- Which value of ΔE_f does entry 4 give?
  -219 meV per atom